Model P:
LiIO4 | PBE | optimized geometry

a = 5.386 Å, b = 8.696 Å, c = 8.551 Å
α = 90.00°, β = 112.56°, γ = 90.00°
Space group P2_1/c (No. 14)
One atom of each set of equivalent atoms:
Li1 0.082 0.037 0.331 (multiplicity 4)
I1 0.348 0.706 0.569 (multiplicity 4)
O1 0.132 0.628 0.021 (multiplicity 4)
O2 0.246 0.582 0.388 (multiplicity 4)
O3 0.310 0.234 0.374 (multiplicity 4)
O4 0.323 0.603 0.744 (multiplicity 4)

Computed properties:
The crystal system is monoclinic. As for the total magnetization: 0.0 μB/f.u. For the calculated volume, the calculation gives 370 Å³/cell.



Model Q:
LiIO4 | PBE | optimized geometry

a = 5.344 Å, b = 8.660 Å, c = 9.035 Å
α = 90.00°, β = 107.88°, γ = 90.00°
Space group P2_1/c (No. 14)
One atom of each set of equivalent atoms:
Li1 0.210 0.050 0.144 (multiplicity 4)
I1 0.347 0.711 0.954 (multiplicity 4)
O1 0.138 0.612 0.788 (multiplicity 4)
O2 0.183 0.610 0.467 (multiplicity 4)
O3 0.337 0.240 0.063 (multiplicity 4)
O4 0.395 0.598 0.127 (multiplicity 4)

Computed properties:
The crystal system is monoclinic. As for the total magnetization: 0.0 μB/f.u. For the calculated volume, the calculation gives 398 Å³/cell.



Which is most stable? The ranking, best first, is model P, model Q.